Material: CaH4Se2O7
Method: DFT, PBE-GGA
State: optimized geometry

Cell: 6.8612 7.0335 7.4572 Å, 71.71 89.04 88.40°
Last column: nearest neighbours and their distance in Å.
Space group P-1 (No. 2)
Asymmetric unit:
Ca1 0.1255 0.2711 0.4251 [2 per cell]  8 O 2.41-2.62
H1 0.0164 0.0455 0.1550 [2 per cell]  1 O 1.02
H2 0.3011 0.7084 0.0205 [2 per cell]  1 O 1.00
H3 0.3461 0.9276 0.8986 [2 per cell]  1 O 0.99
H4 0.4695 0.7397 0.7649 [2 per cell]  1 O 1.05
Se1 0.1309 0.3206 0.8965 [2 per cell]  3 O 1.71-1.83
Se2 0.3408 0.7502 0.4616 [2 per cell]  3 O 1.69-1.83
O1 0.1015 0.5821 0.1452 [2 per cell]  1 Se 1.71, 1 H 1.74
O2 0.1099 0.1591 0.1409 [2 per cell]  1 H 1.02
O3 0.1407 0.1382 0.7862 [2 per cell]  1 H 1.65, 1 Se 1.73
O4 0.1850 0.9138 0.5163 [2 per cell]  1 Se 1.69
O5 0.2030 0.5425 0.5458 [2 per cell]  1 Se 1.70
O6 0.4077 0.7919 0.9454 [2 per cell]  2 H 0.99-1.00
O7 0.4744 0.2873 0.3563 [2 per cell]  1 H 1.05

Results
* energy with MP2020 corrections: -5.71 eV/atom
* mass density: 3.1 g/cm3

***

Material: CaH4Se2O9
Method: DFT, PBE-GGA
State: optimized geometry

Cell: 5.9108 15.4544 8.3345 Å, 90.00 92.11 90.00°
Last column: nearest neighbours and their distance in Å.
Space group P2_1/c (No. 14)
Asymmetric unit:
Ca1 0.2266 0.1033 0.0753 [4 per cell]  7 O 2.40-2.55
H1 0.1588 0.2053 0.5004 [4 per cell]  1 O 0.98
H2 0.1725 0.2073 0.6876 [4 per cell]  1 O 0.99
H3 0.2535 0.5081 0.9778 [4 per cell]  1 O 1.00
H4 0.4653 0.7081 0.8999 [4 per cell]  1 O 1.01
Se1 0.2369 0.5751 0.2274 [4 per cell]  4 O 1.65-1.77
Se2 0.2740 0.6305 0.7052 [4 per cell]  4 O 1.65-1.75
O1 0.0047 0.6332 0.1911 [4 per cell]  1 Se 1.66
O2 0.0229 0.6630 0.6336 [4 per cell]  1 Se 1.66
O3 0.2053 0.5256 0.4025 [4 per cell]  1 Se 1.66
O4 0.2426 0.0126 0.5915 [4 per cell]  1 H 1.00
O5 0.2428 0.2317 0.5917 [4 per cell]  2 H 0.98-0.99
O6 0.2709 0.5264 0.7585 [4 per cell]  1 Se 1.67, 1 H 1.86
O7 0.3026 0.6880 0.8860 [4 per cell]  1 H 1.01
O8 0.4746 0.6304 0.2219 [4 per cell]  1 Se 1.65
O9 0.4923 0.6575 0.5987 [4 per cell]  1 Se 1.65

Results
* energy with MP2020 corrections: -5.71 eV/atom
* mass density: 3.0 g/cm3

***

Material: Ca2SiH2O5
Method: DFT, PBE-GGA
State: optimized geometry

Cell: 9.2527 10.7895 9.5535 Å, 90.00 90.00 90.00°
Last column: nearest neighbours and their distance in Å.
Space group Pbca (No. 61)
Asymmetric unit:
Ca1 0.0047 0.1121 0.1541 [8 per cell]  6 O 2.33-2.61
Ca2 0.1686 0.0697 0.5170 [8 per cell]  5 O 2.28-2.38
Si1 0.2137 0.1593 0.8321 [8 per cell]  4 O 1.63-1.72
H1 0.0574 0.6224 0.7606 [8 per cell]  1 O 1.02
H2 0.1003 0.6744 0.0722 [8 per cell]  1 O 0.98
O1 0.0472 0.6024 0.1072 [8 per cell]  1 H 0.98
O2 0.0978 0.1907 0.7070 [8 per cell]  1 Si 1.64, 1 H 1.64
O3 0.1398 0.0639 0.9457 [8 per cell]  1 Si 1.64
O4 0.1525 0.5748 0.7505 [8 per cell]  1 H 1.02
O5 0.2072 0.7208 0.4010 [8 per cell]  1 Si 1.63

Results
* energy with MP2020 corrections: -6.91 eV/atom
* mass density: 2.6 g/cm3

***

Material: Ca3Si2H6O10
Method: DFT, PBE-GGA
State: optimized geometry

Cell: 16.3690 5.6869 11.6860 Å, 90.00 126.08 90.00°
Last column: nearest neighbours and their distance in Å.
Space group Cc (No. 9)
Asymmetric unit:
Ca1 0.0000 0.1947 0.0000 [4 per cell]  5 O 2.34-2.44
Ca2 0.1241 0.2180 0.8275 [4 per cell]  5 O 2.35-2.48
Ca3 0.1858 0.2885 0.5804 [4 per cell]  7 O 2.36-2.57
Si1 0.2240 0.2323 0.2902 [4 per cell]  4 O 1.62-1.69
Si2 0.4762 0.1922 0.7908 [4 per cell]  4 O 1.64-1.71
H1 0.3006 0.3012 0.1602 [4 per cell]  1 O 1.03
H2 0.3270 0.1520 0.5245 [4 per cell]  1 O 1.04
H3 0.3295 0.3666 0.0545 [4 per cell]  1 O 1.00
H4 0.3517 0.0162 0.7904 [4 per cell]  1 O 1.05
H5 0.4053 0.2613 0.9470 [4 per cell]  1 O 1.00
H6 0.4391 0.1204 0.0847 [4 per cell]  1 O 1.03
O1 0.0368 0.0640 0.3692 [4 per cell]  1 Si 1.64
O2 0.0466 0.4734 0.8965 [4 per cell]  1 Si 1.65
O3 0.1506 0.0178 0.1844 [4 per cell]  1 Si 1.65
O4 0.1666 0.4838 0.2315 [4 per cell]  1 Si 1.62
O5 0.2492 0.1545 0.4478 [4 per cell]  1 H 1.04
O6 0.2710 0.3616 0.0599 [4 per cell]  2 H 1.00-1.03
O7 0.3320 0.2292 0.3097 [4 per cell]  2 H 1.48-1.56, 1 Si 1.64
O8 0.3673 0.1907 0.7793 [4 per cell]  1 H 1.05
O9 0.4345 0.2884 0.0494 [4 per cell]  2 H 1.00-1.03
O10 0.4431 0.1499 0.6300 [4 per cell]  2 H 1.54-1.61, 1 Si 1.64

Results
* energy with MP2020 corrections: -6.65 eV/atom
* mass density: 2.6 g/cm3

***

Material: Ca6Si6H2O19
Method: DFT, PBE-GGA
State: optimized geometry

Cell: 7.0938 7.4162 8.8067 Å, 102.07 90.10 90.08°
Last column: nearest neighbours and their distance in Å.
Space group P-1 (No. 2)
Asymmetric unit:
Ca1 0.0000 0.0000 0.0000 [1 per cell]  6 O 2.33-2.46
Ca2 0.0000 0.5000 0.0000 [1 per cell]  6 O 2.34-2.43
Ca3 0.1525 0.3437 0.3564 [2 per cell]  6 O 2.34-2.59
Ca4 0.1558 0.8379 0.3661 [2 per cell]  5 O 2.35-2.45
Si1 0.2713 0.2182 0.7101 [2 per cell]  4 O 1.62-1.67
Si2 0.2735 0.6354 0.7105 [2 per cell]  4 O 1.62-1.66
Si3 0.4434 0.0451 0.1815 [2 per cell]  4 O 1.61-1.64
H1 0.3587 0.5501 0.1850 [2 per cell]  1 O 0.97
O1 0.1195 0.7084 0.8454 [2 per cell]  1 Si 1.62
O2 0.1213 0.2128 0.8476 [2 per cell]  1 Si 1.62
O3 0.1698 0.1405 0.5424 [2 per cell]  1 Si 1.63
O4 0.1742 0.6316 0.5426 [2 per cell]  1 Si 1.63
O5 0.2184 0.0488 0.2019 [2 per cell]  1 Si 1.61
O6 0.2229 0.5538 0.2001 [2 per cell]  1 H 0.97
O7 0.3553 0.4280 0.7157 [2 per cell]  2 Si 1.65-1.66
O8 0.4727 0.1092 0.7278 [2 per cell]  2 Si 1.64-1.67
O9 0.4751 0.7528 0.7311 [2 per cell]  2 Si 1.64-1.66
O10 0.5000 0.0000 0.0000 [1 per cell]  2 Si 1.61

Results
* energy with MP2020 corrections: -7.65 eV/atom
* mass density: 2.6 g/cm3